Arrangement a

# MgMn2O4 (PBE+U, optimized geometry)
# spin magnetization	8.0	μB per formula unit
data_MgMn2O4
_chemical_formula_sum 'Mg4 Mn8 O16'
_cell_length_a 2.997
_cell_length_b 9.909
_cell_length_c 9.578
_cell_angle_alpha 90.00
_cell_angle_beta 90.00
_cell_angle_gamma 90.00
_space_group_name_H-M_alt 'C m c m'
_space_group_IT_number 63
_space_group_name_Hall '-C 2c 2'
loop_
_atom_site_label
_atom_site_type_symbol
_atom_site_fract_x
_atom_site_fract_y
_atom_site_fract_z
Mg1 Mg 0.000 0.106 0.250
Mn1 Mn 0.000 0.366 0.071
O1 O 0.000 0.000 0.000
O2 O 0.000 0.281 0.614
O3 O 0.000 0.458 0.250

Arrangement b

# MgMn2O4 (PBE+U, optimized geometry)
# spin magnetization	8.0	μB per formula unit
data_MgMn2O4
_chemical_formula_sum 'Mg4 Mn8 O16'
_cell_length_a 3.214
_cell_length_b 8.961
_cell_length_c 10.883
_cell_angle_alpha 90.00
_cell_angle_beta 97.70
_cell_angle_gamma 90.00
_space_group_name_H-M_alt 'P 1 21/c 1'
_space_group_IT_number 14
_space_group_name_Hall '-P 2ybc'
loop_
_atom_site_label
_atom_site_type_symbol
_atom_site_fract_x
_atom_site_fract_y
_atom_site_fract_z
Mg1 Mg 0.044 0.215 0.156
Mn1 Mn 0.170 0.054 0.389
Mn2 Mn 0.486 0.583 0.617
O1 O 0.060 0.524 0.722
O2 O 0.224 0.095 0.567
O3 O 0.487 0.124 0.058
O4 O 0.497 0.215 0.321

Stability summary: most stable arrangement b, least stable arrangement a.

Arrangement a

# MgMn2O4 (PBE+U, optimized geometry)
# spin magnetization	8.0	μB per formula unit
data_MgMn2O4
_chemical_formula_sum 'Mg4 Mn8 O16'
_cell_length_a 6.026
_cell_length_b 6.070
_cell_length_c 8.574
_cell_angle_alpha 90.05
_cell_angle_beta 90.39
_cell_angle_gamma 91.86
_space_group_name_H-M_alt 'P 1'
_space_group_IT_number 1
_space_group_name_Hall 'P 1'
loop_
_atom_site_label
_atom_site_type_symbol
_atom_site_fract_x
_atom_site_fract_y
_atom_site_fract_z
Mg1 Mg 0.000 0.000 0.000
Mg2 Mg 0.233 0.001 0.625
Mg3 Mg 0.497 0.494 0.505
Mg4 Mg 0.737 0.504 0.122
Mn1 Mn 0.230 0.503 0.118
Mn2 Mn 0.466 0.009 0.244
Mn3 Mn 0.482 0.253 0.873
Mn4 Mn 0.483 0.751 0.870
Mn5 Mn 0.734 0.003 0.627
Mn6 Mn 0.968 0.509 0.742
Mn7 Mn 0.982 0.754 0.372
Mn8 Mn 0.983 0.259 0.377
O1 O 0.190 0.008 0.384
O2 O 0.221 0.482 0.377
O3 O 0.254 0.530 0.866
O4 O 0.274 0.993 0.867
O5 O 0.472 0.279 0.100
O6 O 0.478 0.731 0.100
O7 O 0.492 0.774 0.638
O8 O 0.504 0.225 0.644
O9 O 0.690 0.513 0.878
O10 O 0.727 0.974 0.857
O11 O 0.735 0.029 0.398
O12 O 0.766 0.502 0.367
O13 O 0.959 0.782 0.603
O14 O 0.973 0.216 0.633
O15 O 0.992 0.284 0.115
O16 O 0.996 0.737 0.143

Arrangement b

# MgMn2O4 (PBE+U, optimized geometry)
# spin magnetization	8.0	μB per formula unit
data_MgMn2O4
_chemical_formula_sum 'Mg4 Mn8 O16'
_cell_length_a 5.154
_cell_length_b 10.317
_cell_length_c 6.026
_cell_angle_alpha 90.00
_cell_angle_beta 91.87
_cell_angle_gamma 90.00
_space_group_name_H-M_alt 'P 1 21/m 1'
_space_group_IT_number 11
_space_group_name_Hall '-P 2yb'
loop_
_atom_site_label
_atom_site_type_symbol
_atom_site_fract_x
_atom_site_fract_y
_atom_site_fract_z
Mg1 Mg 0.014 0.250 0.241
Mg2 Mg 0.356 0.250 0.747
Mn1 Mn 0.012 0.516 0.252
Mn2 Mn 0.500 0.000 0.000
Mn3 Mn 0.500 0.000 0.500
O1 O 0.185 0.117 0.979
O2 O 0.191 0.113 0.479
O3 O 0.264 0.604 0.751
O4 O 0.357 0.601 0.246

Stability summary: most stable arrangement a, least stable arrangement b.

Arrangement a

# MgMn2O4 (PBE+U, optimized geometry)
# spin magnetization	8.0	μB per formula unit
data_MgMn2O4
_chemical_formula_sum 'Mg4 Mn8 O16'
_cell_length_a 15.559
_cell_length_b 2.871
_cell_length_c 9.589
_cell_angle_alpha 90.00
_cell_angle_beta 126.87
_cell_angle_gamma 90.00
_space_group_name_H-M_alt 'C 1 2/m 1'
_space_group_IT_number 12
_space_group_name_Hall '-C 2y'
loop_
_atom_site_label
_atom_site_type_symbol
_atom_site_fract_x
_atom_site_fract_y
_atom_site_fract_z
Mg1 Mg 0.193 0.000 0.171
Mn1 Mn 0.112 0.000 0.815
Mn2 Mn 0.150 0.500 0.482
O1 O 0.055 0.000 0.346
O2 O 0.135 0.500 0.983
O3 O 0.143 0.500 0.718
O4 O 0.237 0.500 0.360

Arrangement b

DFT (PBE+U) results for MgMn2O4 after structural relaxation.

The structure in CIF format:
```
data_MgMn2O4
_chemical_formula_sum 'Mg8 Mn16 O32'
_cell_length_a 8.204
_cell_length_b 8.216
_cell_length_c 9.459
_cell_angle_alpha 90.00
_cell_angle_beta 90.00
_cell_angle_gamma 90.00
_space_group_name_H-M_alt 'F d d d'
_space_group_IT_number 70
loop_
_space_group_symop_operation_xyz
'x,y,z'
'-x,-y,-z'
'-x+1/4,-y+1/4,z'
'x+1/4,y+1/4,-z'
'x,-y+1/4,-z+1/4'
'-x,y+1/4,z+1/4'
'-x+1/4,y,-z+1/4'
'x+1/4,-y,z+1/4'
'x,y+1/2,z+1/2'
'-x,-y+1/2,-z+1/2'
'-x+1/4,-y+3/4,z+1/2'
'x+1/4,y+3/4,-z+1/2'
'x,-y+3/4,-z+3/4'
'-x,y+3/4,z+3/4'
'-x+1/4,y+1/2,-z+3/4'
'x+1/4,-y+1/2,z+3/4'
'x+1/2,y,z+1/2'
'-x+1/2,-y,-z+1/2'
'-x+3/4,-y+1/4,z+1/2'
'x+3/4,y+1/4,-z+1/2'
'x+1/2,-y+1/4,-z+3/4'
'-x+1/2,y+1/4,z+3/4'
'-x+3/4,y,-z+3/4'
'x+3/4,-y,z+3/4'
'x+1/2,y+1/2,z'
'-x+1/2,-y+1/2,-z'
'-x+3/4,-y+3/4,z'
'x+3/4,y+3/4,-z'
'x+1/2,-y+3/4,-z+1/4'
'-x+1/2,y+3/4,z+1/4'
'-x+3/4,y+1/2,-z+1/4'
'x+3/4,-y+1/2,z+1/4'
loop_
_atom_site_label
_atom_site_type_symbol
_atom_site_fract_x
_atom_site_fract_y
_atom_site_fract_z
Mg1 Mg 0.125 0.125 0.125
Mn1 Mn 0.000 0.000 0.500
O1 O 0.012 0.012 0.746
```

Arrangement c

# MgMn2O4 (PBE+U, optimized geometry)
# spin magnetization	8.0	μB per formula unit
data_MgMn2O4
_chemical_formula_sum 'Mg20 Mn40 O80'
_cell_length_a 46.476
_cell_length_b 5.866
_cell_length_c 5.871
_cell_angle_alpha 90.00
_cell_angle_beta 96.92
_cell_angle_gamma 90.00
_space_group_name_H-M_alt 'C 1 m 1'
_space_group_IT_number 8
_space_group_name_Hall 'C -2y'
loop_
_atom_site_label
_atom_site_type_symbol
_atom_site_fract_x
_atom_site_fract_y
_atom_site_fract_z
Mg1 Mg 0.000 0.000 0.000
Mg2 Mg 0.023 0.500 0.281
Mg3 Mg 0.097 0.500 0.597
Mg4 Mg 0.120 0.000 0.881
Mg5 Mg 0.195 0.000 0.205
Mg6 Mg 0.245 0.000 0.757
Mg7 Mg 0.296 0.500 0.806
Mg8 Mg 0.347 0.500 0.358
Mg9 Mg 0.398 0.000 0.407
Mg10 Mg 0.448 0.000 0.958
Mn1 Mn 0.023 0.500 0.779
Mn2 Mn 0.046 0.000 0.568
Mn3 Mn 0.071 0.251 0.082
Mn4 Mn 0.119 0.000 0.389
Mn5 Mn 0.143 0.500 0.163
Mn6 Mn 0.169 0.249 0.683
Mn7 Mn 0.220 0.500 0.482
Mn8 Mn 0.220 0.500 0.982
Mn9 Mn 0.271 0.250 0.281
Mn10 Mn 0.321 0.000 0.082
Mn11 Mn 0.321 0.000 0.582
Mn12 Mn 0.372 0.250 0.882
Mn13 Mn 0.423 0.500 0.181
Mn14 Mn 0.423 0.500 0.682
Mn15 Mn 0.474 0.250 0.479
O1 O 0.021 0.275 0.540
O2 O 0.028 0.266 0.025
O3 O 0.069 0.500 0.302
O4 O 0.070 0.000 0.298
O5 O 0.072 0.500 0.861
O6 O 0.073 0.000 0.866
O7 O 0.114 0.231 0.140
O8 O 0.121 0.229 0.624
O9 O 0.167 0.000 0.912
O10 O 0.169 0.000 0.454
O11 O 0.170 0.500 0.909
O12 O 0.171 0.500 0.462
O13 O 0.219 0.275 0.732
O14 O 0.221 0.275 0.232
O15 O 0.270 0.500 0.056
O16 O 0.270 0.500 0.506
O17 O 0.271 0.000 0.057
O18 O 0.271 0.000 0.507
O19 O 0.321 0.225 0.331
O20 O 0.322 0.225 0.832
O21 O 0.371 0.000 0.106
O22 O 0.371 0.000 0.657
O23 O 0.373 0.500 0.108
O24 O 0.373 0.500 0.658
O25 O 0.422 0.275 0.931
O26 O 0.424 0.275 0.431
O27 O 0.472 0.500 0.705
O28 O 0.474 0.000 0.707
O29 O 0.474 0.500 0.252
O30 O 0.475 0.000 0.252

Stability summary: most stable arrangement b, least stable arrangement a.